*one*
Compound: Ta2Co4O9
Source: the Materials Project
Functional: PBE+U
Structure: relaxed Values from VASP.

## Properties
symmetry	P-3c1, No. 165

```
&SYSTEM
  ibrav = 0, nat = 30, ntyp = 3
/
ATOMIC_SPECIES
Ta 180.95 Ta.upf
Co 58.93 Co.upf
O 16.00 O.upf
ATOMIC_POSITIONS angstrom
Ta 0.000 0.000 2.051
Ta 0.000 0.000 5.106
Ta 0.000 0.000 9.208
Ta 0.000 0.000 12.264
Co 0.000 3.007 0.209
Co 0.000 3.007 4.414
Co 0.000 3.007 7.367
Co 0.000 3.007 11.571
Co 2.604 1.503 2.744
Co 2.604 1.503 6.948
Co 2.604 1.503 9.901
Co 2.604 1.503 14.106
O -0.749 1.298 3.579
O -1.855 3.213 10.736
O -0.777 1.541 13.106
O -1.658 3.067 5.948
O 1.498 0.000 3.579
O 0.749 1.298 10.736
O 0.777 1.541 5.948
O -0.881 4.413 13.106
O 1.723 0.098 8.367
O 0.946 1.443 1.209
O 1.658 3.067 13.106
O 0.881 4.413 5.948
O 3.485 0.098 1.209
O 1.827 2.969 8.367
O 3.710 0.000 10.736
O 1.855 3.213 3.579
O 4.262 1.443 8.367
O 3.381 2.969 1.209
CELL_PARAMETERS angstrom
5.208 0.000 0.000
-2.604 4.510 0.000
0.000 0.000 14.315
```


*two*
Compound: Ta2Co4O9
Source: the Materials Project
Functional: PBE+U
Structure: relaxed Values from VASP.

## Properties
symmetry	P1, No. 1

```
&SYSTEM
  ibrav = 0, nat = 60, ntyp = 3
/
ATOMIC_SPECIES
Ta 180.95 Ta.upf
Co 58.93 Co.upf
O 16.00 O.upf
ATOMIC_POSITIONS angstrom
Ta 0.000 0.000 0.000
Ta 5.200 0.017 7.294
Ta 0.005 8.521 3.067
Ta 0.011 8.504 10.336
Ta 2.603 4.031 7.300
Ta 2.597 4.050 0.003
Ta 2.603 4.486 10.339
Ta 2.605 4.471 3.068
Co 0.006 2.792 2.377
Co 0.005 5.723 0.681
Co 0.013 2.784 9.719
Co 0.022 2.805 5.200
Co 0.023 5.720 12.434
Co 0.028 5.736 7.895
Co 2.587 1.245 12.476
Co 2.588 7.279 5.150
Co 2.605 1.257 2.376
Co 2.605 7.267 0.686
Co 2.621 1.247 5.199
Co 2.622 7.253 7.901
Co 2.625 7.277 12.432
Co 2.625 1.250 9.739
Co 5.186 2.814 12.484
Co 5.188 5.713 5.154
O 0.755 7.421 1.533
O 0.759 1.094 1.533
O 0.862 1.294 6.240
O 0.865 7.228 11.394
O 0.889 1.234 11.037
O 0.891 7.286 6.596
O 0.908 4.202 11.204
O 0.909 4.317 6.432
O 1.132 4.260 1.536
O 1.489 8.736 8.811
O 1.707 2.828 3.774
O 1.706 5.687 13.855
O 1.718 8.670 13.723
O 1.716 8.790 3.915
O 1.757 2.755 13.525
O 1.756 5.765 4.109
O 1.847 5.565 8.826
O 1.852 2.954 8.810
O 3.355 5.568 1.534
O 3.359 2.955 1.534
O 3.462 2.755 6.242
O 3.463 5.765 11.392
O 3.488 2.817 11.038
O 3.491 5.705 6.598
O 3.506 8.672 6.431
O 3.504 8.792 11.197
O 3.732 8.732 1.535
O 4.096 4.266 8.819
O 4.303 7.307 13.854
O 4.305 1.221 3.774
O 4.315 4.202 3.915
O 4.318 4.327 13.727
O 4.356 1.298 13.523
O 4.356 7.227 4.109
O 4.446 1.097 8.804
O 4.445 7.431 8.829
CELL_PARAMETERS angstrom
5.198 0.000 0.000
0.001 8.942 0.000
0.002 0.001 14.564
```


What should be chosen as the least stable of them? Choose *two*.


*one*
Compound: TiCo3O8
Source: the Materials Project
Functional: PBE+U
Structure: relaxed Values from VASP.

```
&SYSTEM
  ibrav = 0, nat = 24, ntyp = 3
/
ATOMIC_SPECIES
Ti 47.87 Ti.upf
Co 58.93 Co.upf
O 16.00 O.upf
ATOMIC_POSITIONS angstrom
Ti -7.544 -7.647 -0.263
Ti -3.673 -5.928 -4.647
Co -2.762 -5.837 -1.919
Co -9.464 -5.723 -1.203
Co -3.772 -3.823 -0.132
Co -10.375 -5.813 -3.931
Co -4.683 -3.914 -2.859
Co 1.109 -4.119 -6.303
O -0.575 -3.386 -5.766
O -4.445 -5.105 -1.381
O -4.920 -2.723 -4.337
O -8.791 -4.441 0.047
O -0.677 -1.311 -1.305
O -6.365 -3.208 -2.380
O 0.296 -3.242 -3.026
O -5.397 -5.142 -4.098
O -1.548 -1.395 -3.930
O -5.425 -3.117 0.454
O -3.941 -4.710 -6.172
O -7.818 -6.432 -1.789
O -3.969 -2.686 -1.621
O -9.661 -4.586 -2.693
O -3.000 -4.619 -3.338
O -8.689 -6.516 -4.414
CELL_PARAMETERS angstrom
-1.822 -0.181 -5.455
2.020 -4.028 -3.576
-9.563 -3.618 3.313
```


*two*
Compound: TiCo3O8
Source: the Materials Project
Functional: PBE+U
Structure: relaxed Values from VASP.

## Properties
symmetry	P1, No. 1

```
&SYSTEM
  ibrav = 0, nat = 96, ntyp = 3
/
ATOMIC_SPECIES
Ti 47.87 Ti.upf
Co 58.93 Co.upf
O 16.00 O.upf
ATOMIC_POSITIONS angstrom
Ti 0.000 0.000 0.000
Ti 0.038 1.812 16.315
Ti 1.938 3.799 11.258
Ti 2.065 5.595 13.709
Ti 3.752 5.605 16.153
Ti 3.789 3.778 18.580
Ti 5.710 0.074 11.390
Ti 5.763 1.864 13.856
Co 0.012 3.757 9.001
Co 0.016 1.934 6.734
Co 0.068 0.005 9.030
Co 0.074 5.655 6.806
Co 0.103 3.805 18.571
Co 1.901 0.022 11.429
Co 1.894 3.755 2.250
Co 1.902 1.804 4.515
Co 1.903 1.896 13.759
Co 1.919 5.648 4.468
Co 1.945 7.550 2.248
Co 3.760 5.673 6.760
Co 3.775 1.857 16.126
Co 3.785 7.553 9.028
Co 3.838 1.809 6.663
Co 3.856 0.041 18.543
Co 3.855 3.762 8.925
Co 5.594 3.794 11.412
Co 5.613 7.551 2.314
Co 5.676 5.623 4.608
Co 5.684 3.807 2.218
Co 5.687 1.925 4.458
Co 5.794 5.652 13.724
Co 7.466 5.653 16.255
O 0.006 1.953 8.664
O 0.007 3.778 10.815
O 0.012 1.847 4.894
O 0.011 5.705 4.909
O 0.019 1.906 18.293
O 0.022 3.762 7.087
O 0.063 0.016 10.950
O 0.080 7.552 7.190
O 0.083 1.921 14.306
O 0.085 3.810 1.874
O 0.083 5.579 8.647
O 0.128 3.752 16.756
O 0.135 7.549 16.719
O 1.870 0.033 9.396
O 1.886 1.813 2.601
O 1.885 3.733 4.081
O 1.893 3.798 0.332
O 1.901 5.636 15.645
O 1.928 5.683 11.695
O 1.946 1.867 11.769
O 1.944 1.878 6.339
O 1.943 5.587 6.387
O 1.941 7.526 0.445
O 1.945 7.532 13.245
O 1.941 7.547 4.168
O 1.948 5.711 2.635
O 1.966 3.727 9.326
O 1.984 1.880 15.813
O 1.993 3.778 13.262
O 3.729 1.914 18.102
O 3.741 3.730 1.849
O 3.760 5.665 18.095
O 3.755 5.699 8.634
O 3.755 7.517 7.085
O 3.801 0.007 10.855
O 3.818 0.023 16.637
O 3.822 1.836 14.321
O 3.823 1.873 4.854
O 3.825 0.022 1.928
O 3.833 3.789 10.859
O 3.826 5.643 4.881
O 3.833 1.840 8.599
O 3.837 3.744 16.569
O 3.834 3.776 7.132
O 3.887 5.702 14.113
O 5.628 0.000 0.376
O 5.634 0.028 4.105
O 5.640 3.798 13.363
O 5.637 3.814 9.295
O 5.646 1.877 6.352
O 5.652 5.621 2.649
O 5.663 5.664 6.418
O 5.682 1.882 15.861
O 5.681 3.791 0.399
O 5.699 1.885 11.872
O 5.706 5.637 15.695
O 5.700 7.544 13.412
O 5.706 3.723 4.151
O 5.715 1.920 2.599
O 5.740 5.699 11.910
O 5.742 7.503 9.397
O 7.485 5.630 14.068
O 7.491 5.645 18.219
O 7.512 7.477 1.928
CELL_PARAMETERS angstrom
7.515 0.000 0.000
0.000 7.551 0.000
0.007 0.009 18.721
```


*three*
Compound: TiCo3O8
Source: the Materials Project
Functional: PBE+U
Structure: relaxed Values from VASP.

## Properties
symmetry	P6_3mc, No. 186

```
&SYSTEM
  ibrav = 0, nat = 24, ntyp = 3
/
ATOMIC_SPECIES
Ti 47.87 Ti.upf
Co 58.93 Co.upf
O 16.00 O.upf
ATOMIC_POSITIONS angstrom
Ti 0.000 3.252 0.000
Ti 2.816 1.626 4.471
Co 0.000 1.637 6.410
Co -1.398 4.059 6.410
Co 1.418 0.819 1.939
Co 1.398 4.059 6.410
Co 4.214 0.819 1.939
Co 2.816 3.240 1.939
O 0.000 0.000 2.902
O 0.000 0.000 7.374
O -1.244 2.533 7.460
O 0.000 1.595 0.954
O -1.435 4.080 0.954
O 1.381 0.797 5.426
O 0.000 3.252 5.421
O 1.244 2.533 7.460
O 0.000 4.688 7.460
O 2.816 0.189 2.989
O 1.572 2.344 2.989
O 2.816 1.626 0.950
O 1.435 4.080 0.954
O 4.251 0.797 5.426
O 2.816 3.283 5.426
O 4.060 2.344 2.989
CELL_PARAMETERS angstrom
5.632 0.000 0.000
-2.816 4.878 0.000
0.000 0.000 8.942
```


What should be chosen as the least stable of them? Choose *two*.